Entry 1:
UBi4O8 | GGA-PBE | relaxed

Cell: 3.846 3.954 28.328 Å, 90.00 90.00 90.00°
Space group Immm (No. 71)
Inequivalent atoms, fractional coordinates:
U: 0.000 0.000 0.000 [2 per cell]
Bi: 0.000 0.000 0.204 [4 per cell]
Bi: 0.000 0.000 0.405 [4 per cell]
O: 0.000 0.500 0.048 [4 per cell]
O: 0.000 0.500 0.244 [4 per cell]
O: 0.000 0.500 0.352 [4 per cell]
O: 0.000 0.500 0.455 [4 per cell]

Calculated values
E: -0.250 hartree per atom

---

Entry 2:
Na3Mg3TiPS5O24 | GGA-PBE | relaxed

Cell: 8.675 8.708 22.459 Å, 89.84 89.94 60.24°
Space group P1 (No. 1)
Inequivalent atoms, fractional coordinates:
Na: 0.000 0.000 0.000 [1 per cell]
Na: 0.004 0.998 0.505 [1 per cell]
Na: 0.321 0.354 0.339 [1 per cell]
Na: 0.332 0.342 0.835 [1 per cell]
Na: 0.635 0.008 0.257 [1 per cell]
Na: 0.648 0.693 0.672 [1 per cell]
Na: 0.665 0.675 0.173 [1 per cell]
Na: 0.697 0.342 0.087 [1 per cell]
Na: 0.967 0.340 0.590 [1 per cell]
Mg: 0.002 0.006 0.357 [1 per cell]
Mg: 0.003 0.000 0.655 [1 per cell]
Mg: 0.005 0.002 0.155 [1 per cell]
Mg: 0.322 0.347 0.191 [1 per cell]
Mg: 0.335 0.337 0.692 [1 per cell]
Mg: 0.653 0.685 0.523 [1 per cell]
Mg: 0.662 0.669 0.323 [1 per cell]
Mg: 0.665 0.679 0.022 [1 per cell]
Mg: 0.994 0.007 0.858 [1 per cell]
Ti: 0.326 0.350 0.980 [1 per cell]
Ti: 0.330 0.333 0.488 [1 per cell]
Ti: 0.673 0.664 0.822 [1 per cell]
P: 0.334 0.045 0.591 [1 per cell]
P: 0.669 0.382 0.925 [1 per cell]
P: 0.950 0.681 0.924 [1 per cell]
S: 0.041 0.342 0.089 [1 per cell]
S: 0.041 0.632 0.589 [1 per cell]
S: 0.290 0.008 0.256 [1 per cell]
S: 0.291 0.716 0.757 [1 per cell]
S: 0.328 0.633 0.088 [1 per cell]
S: 0.370 0.673 0.423 [1 per cell]
S: 0.374 0.964 0.923 [1 per cell]
S: 0.619 0.050 0.089 [1 per cell]
S: 0.619 0.342 0.589 [1 per cell]
S: 0.665 0.969 0.422 [1 per cell]
S: 0.705 0.007 0.756 [1 per cell]
S: 0.705 0.303 0.255 [1 per cell]
S: 0.956 0.382 0.424 [1 per cell]
S: 0.998 0.300 0.756 [1 per cell]
S: 0.998 0.715 0.256 [1 per cell]
O: 0.020 0.182 0.093 [1 per cell]
O: 0.021 0.192 0.808 [1 per cell]
O: 0.023 0.798 0.309 [1 per cell]
O: 0.023 0.809 0.593 [1 per cell]
O: 0.121 0.521 0.642 [1 per cell]
O: 0.123 0.366 0.142 [1 per cell]
O: 0.139 0.502 0.930 [1 per cell]
O: 0.140 0.366 0.430 [1 per cell]
O: 0.151 0.329 0.750 [1 per cell]
O: 0.152 0.319 0.035 [1 per cell]
O: 0.155 0.544 0.534 [1 per cell]
O: 0.156 0.537 0.249 [1 per cell]
O: 0.157 0.043 0.591 [1 per cell]
O: 0.168 0.808 0.093 [1 per cell]
O: 0.182 0.035 0.309 [1 per cell]
O: 0.183 0.798 0.810 [1 per cell]
O: 0.190 0.830 0.416 [1 per cell]
O: 0.195 0.991 0.915 [1 per cell]
O: 0.211 0.981 0.202 [1 per cell]
O: 0.217 0.823 0.702 [1 per cell]
O: 0.305 0.544 0.034 [1 per cell]
O: 0.307 0.175 0.534 [1 per cell]
O: 0.315 0.166 0.250 [1 per cell]
O: 0.315 0.536 0.750 [1 per cell]
O: 0.351 0.510 0.431 [1 per cell]
O: 0.356 0.139 0.644 [1 per cell]
O: 0.359 0.146 0.929 [1 per cell]
O: 0.361 0.520 0.141 [1 per cell]
O: 0.452 0.699 0.476 [1 per cell]
O: 0.452 0.860 0.977 [1 per cell]
O: 0.473 0.850 0.262 [1 per cell]
O: 0.474 0.698 0.765 [1 per cell]
O: 0.478 0.641 0.369 [1 per cell]
O: 0.488 0.885 0.869 [1 per cell]
O: 0.491 0.649 0.082 [1 per cell]
O: 0.492 0.369 0.931 [1 per cell]
O: 0.496 0.865 0.581 [1 per cell]
O: 0.500 0.152 0.430 [1 per cell]
O: 0.511 0.372 0.642 [1 per cell]
O: 0.516 0.130 0.144 [1 per cell]
O: 0.525 0.164 0.751 [1 per cell]
O: 0.526 0.317 0.249 [1 per cell]
O: 0.530 0.168 0.036 [1 per cell]
O: 0.530 0.319 0.534 [1 per cell]
O: 0.630 0.897 0.367 [1 per cell]
O: 0.633 0.508 0.869 [1 per cell]
O: 0.637 0.873 0.083 [1 per cell]
O: 0.647 0.497 0.581 [1 per cell]
O: 0.684 0.843 0.765 [1 per cell]
O: 0.686 0.480 0.261 [1 per cell]
O: 0.688 0.464 0.982 [1 per cell]
O: 0.690 0.859 0.475 [1 per cell]
O: 0.787 0.032 0.810 [1 per cell]
O: 0.789 0.187 0.307 [1 per cell]
O: 0.797 0.038 0.093 [1 per cell]
O: 0.797 0.180 0.593 [1 per cell]
O: 0.809 0.224 0.199 [1 per cell]
O: 0.812 0.975 0.702 [1 per cell]
O: 0.820 0.994 0.416 [1 per cell]
O: 0.825 0.200 0.915 [1 per cell]
O: 0.831 0.484 0.764 [1 per cell]
O: 0.833 0.700 0.262 [1 per cell]
O: 0.843 0.704 0.979 [1 per cell]
O: 0.853 0.461 0.479 [1 per cell]
O: 0.860 0.499 0.083 [1 per cell]
O: 0.863 0.644 0.867 [1 per cell]
O: 0.866 0.644 0.580 [1 per cell]
O: 0.878 0.493 0.371 [1 per cell]
O: 0.963 0.230 0.701 [1 per cell]
O: 0.965 0.827 0.202 [1 per cell]
O: 0.980 0.203 0.417 [1 per cell]
O: 0.986 0.832 0.914 [1 per cell]

Calculated values
E: -0.234 hartree per atom

---

Entry 3:
NbBiO4 | GGA-PBE | relaxed

Cell: 5.581 7.778 8.051 Å, 101.46 90.15 92.78°
Space group P-1 (No. 2)
Inequivalent atoms, fractional coordinates:
Nb: 0.221 0.346 0.177 [2 per cell]
Nb: 0.246 0.326 0.676 [2 per cell]
Bi: 0.235 0.880 0.126 [2 per cell]
Bi: 0.288 0.834 0.627 [2 per cell]
O: 0.006 0.894 0.823 [2 per cell]
O: 0.041 0.825 0.363 [2 per cell]
O: 0.082 0.554 0.721 [2 per cell]
O: 0.148 0.322 0.946 [2 per cell]
O: 0.312 0.327 0.449 [2 per cell]
O: 0.436 0.546 0.214 [2 per cell]
O: 0.444 0.108 0.680 [2 per cell]
O: 0.463 0.157 0.142 [2 per cell]

Calculated values
E: -0.283 hartree per atom

---

Entry 4:
Nd5P12Ru19 | GGA-PBE | relaxed

Cell: 12.6269 12.6269 4.0142 Å, 90.00 90.00 120.00°
Space group P-62m (No. 189)
Inequivalent atoms, fractional coordinates:
Nd: 0.0000 0.1843 0.0000 [3 per cell]
Nd: 0.3333 0.6667 0.5000 [2 per cell]
P: 0.0000 0.3743 0.5000 [3 per cell]
P: 0.0000 0.8133 0.5000 [3 per cell]
P: 0.1699 0.6936 0.0000 [6 per cell]
Ru: 0.0000 0.0000 0.5000 [1 per cell]
Ru: 0.0000 0.5548 0.5000 [3 per cell]
Ru: 0.0000 0.7156 0.0000 [3 per cell]
Ru: 0.1248 0.4906 0.0000 [6 per cell]
Ru: 0.1842 0.8063 0.5000 [6 per cell]

Calculated values
E: -0.301 hartree per atom

---

Entry 5:
Nb4CrS8 | GGA-PBE | relaxed

Cell: 6.6942 6.6942 12.0849 Å, 90.00 90.00 120.00°
Space group P6_3/mmc (No. 194)
Inequivalent atoms, fractional coordinates:
Nb: 0.0000 0.0000 0.2500 [2 per cell]
Nb: 0.0126 0.5063 0.2500 [6 per cell]
Cr: 0.0000 0.0000 0.0000 [2 per cell]
S: 0.1660 0.3321 0.6198 [12 per cell]
S: 0.3333 0.6667 0.1168 [4 per cell]

Calculated values
E: -0.275 hartree per atom

---

Entry 6:
MgGe3 | GGA-PBE | relaxed

Cell: 5.9352 5.9352 5.0835 Å, 90.00 90.00 120.00°
Space group P6_3/mmc (No. 194)
Inequivalent atoms, fractional coordinates:
Mg: 0.3333 0.6667 0.2500 [2 per cell]
Ge: 0.1607 0.3214 0.7500 [6 per cell]

Calculated values
E: -0.138 hartree per atom

---

Entry 7:
Pr2Nb11O30 | GGA-PBE | relaxed

Cell: 6.3255 6.3255 32.9579 Å, 90.00 90.00 120.00°
Space group P-62c (No. 190)
Inequivalent atoms, fractional coordinates:
Pr: 0.3333 0.6667 0.0947 [4 per cell]
Nb: 0.9998 0.3603 0.6920 [12 per cell]
Nb: 0.0000 0.6442 0.0000 [6 per cell]
Nb: 0.3333 0.6667 0.5975 [4 per cell]
O: 0.0000 0.2435 0.0000 [6 per cell]
O: 0.9997 0.7524 0.1897 [12 per cell]
O: 0.0409 0.4073 0.2500 [6 per cell]
O: 0.0510 0.4264 0.6289 [12 per cell]
O: 0.0533 0.6184 0.5586 [12 per cell]
O: 0.3333 0.6667 0.0143 [4 per cell]
O: 0.3333 0.6667 0.1754 [4 per cell]
O: 0.3333 0.6667 0.6978 [4 per cell]

Calculated values
E: -0.328 hartree per atom

---

Entry 8:
HoScS3 | GGA-PBE | relaxed

Cell: 6.992 6.370 9.539 Å, 90.00 90.00 90.00°
Space group Pna2_1 (No. 33)
Inequivalent atoms, fractional coordinates:
Ho: 0.101 0.041 0.000 [4 per cell]
Sc: 0.004 0.504 0.246 [4 per cell]
S: 0.049 0.354 0.497 [4 per cell]
S: 0.182 0.823 0.678 [4 per cell]
S: 0.187 0.826 0.323 [4 per cell]

Calculated values
E: -0.244 hartree per atom

---

Entry 9:
SiGeN2 | GGA-PBE | relaxed

Cell: 4.897 10.853 14.676 Å, 90.00 90.00 90.00°
Space group Pbca (No. 61)
Inequivalent atoms, fractional coordinates:
Si: 0.165 0.249 0.061 [8 per cell]
Si: 0.188 0.010 0.689 [8 per cell]
Ge: 0.082 0.233 0.319 [8 per cell]
Ge: 0.184 0.039 0.926 [8 per cell]
N: 0.162 0.522 0.796 [8 per cell]
N: 0.169 0.628 0.620 [8 per cell]
N: 0.188 0.728 0.951 [8 per cell]
N: 0.227 0.629 0.130 [8 per cell]

Calculated values
polymorph energy (0 for the lowest one): 6.1 kJ/mol of atoms

---

Please write out number 6 again, unchanged.
MgGe3 | GGA-PBE | relaxed

Cell: 5.9352 5.9352 5.0835 Å, 90.00 90.00 120.00°
Space group P6_3/mmc (No. 194)
Inequivalent atoms, fractional coordinates:
Mg: 0.3333 0.6667 0.2500 [2 per cell]
Ge: 0.1607 0.3214 0.7500 [6 per cell]

Calculated values
E: -0.138 hartree per atom